--- i ---
## RbSi (r2SCAN)

Data for an optimized crystal structure of RbSi.

Properties
Magnetization (μB/atom): 0.00

Cell: 10.975 10.975 17.863 Å, 90.00 90.00 90.00°
Space group I4_1/acd (No. 142, origin choice 2)
Unique sites:
Rb  0.121  0.129  0.125 x16
Rb  0.143  0.000  0.750 x16
Si  0.059  0.156  0.923 x32

=====

--- ii ---
## RbSi (r2SCAN)

Data for an optimized crystal structure of RbSi.

Properties
Magnetization (μB/atom): 0.00

Cell: 13.099 13.099 13.099 Å, 90.00 90.00 90.00°
Space group P-43n (No. 218)
Unique sites:
Rb  0.065  0.141  0.336 x24
Rb  0.167  0.167  0.833 x8
Si  0.060  0.429  0.314 x24
Si  0.065  0.065  0.065 x8

=====

Most stable: ii. Least stable: i.

=====

--- i ---
## Re (r2SCAN)

Data for an optimized crystal structure of Re.

Properties
Magnetization (μB/atom): 0.00

Cell: 2.7664 2.7664 8.9388 Å, 90.00 90.00 120.00°
Space group P6_3/mmc (No. 194)
Unique sites:
Re  0.0000  0.0000  0.0000 x2
Re  0.3333  0.6667  0.2500 x2

=====

--- ii ---
## Re (r2SCAN)

Data for an optimized crystal structure of Re.

Properties
Magnetization (μB/atom): 0.00

Cell: 3.903 3.903 3.903 Å, 90.00 90.00 90.00°
Space group Fm-3m (No. 225)
Unique sites:
Re  0.000  0.000  0.000 x4

=====

--- iii ---
## Re (r2SCAN)

Data for an optimized crystal structure of Re.

Properties
Magnetization (μB/atom): 0.00

Cell: 2.7678 2.7678 20.0958 Å, 90.00 90.00 120.00°
Space group R-3m (No. 166, hexagonal axes)
Unique sites:
Re  0.0000  0.0000  0.0000 x3
Re  0.0000  0.0000  0.2222 x6

=====

Most stable: i. Least stable: ii.